(1)
ZnPH5C2N4O3: optimized geometry, PBE-GGA.

Structure (POSCAR):
```
ZnPH5C2N4O3
1.0
-5.346 -7.209 -1.668
-5.151 -1.462 7.393
-9.864 3.235 -1.839
Zn P H C N O
4 4 20 8 16 12
direct
0.443 0.722 0.045
0.278 0.557 0.455
0.722 0.443 0.545
0.557 0.278 0.955
0.609 0.667 0.279
0.667 0.609 0.779
0.333 0.391 0.221
0.391 0.333 0.721
0.915 0.857 0.095
0.660 0.808 0.252
0.857 0.915 0.595
0.296 0.912 0.397
0.874 0.386 0.206
0.808 0.660 0.752
0.799 0.429 0.063
0.912 0.296 0.897
0.386 0.874 0.706
0.571 0.201 0.437
0.429 0.799 0.563
0.614 0.126 0.294
0.088 0.704 0.103
0.201 0.571 0.937
0.192 0.340 0.248
0.126 0.614 0.794
0.704 0.088 0.603
0.143 0.085 0.405
0.340 0.192 0.748
0.085 0.143 0.905
0.963 0.795 0.397
0.795 0.963 0.897
0.994 0.245 0.069
0.755 0.006 0.431
0.245 0.994 0.569
0.006 0.755 0.931
0.205 0.037 0.103
0.037 0.205 0.603
0.847 0.901 0.356
0.901 0.847 0.856
0.224 0.996 0.448
0.881 0.361 0.117
0.305 0.928 0.071
0.996 0.224 0.948
0.072 0.695 0.429
0.361 0.881 0.617
0.639 0.119 0.383
0.928 0.305 0.571
0.004 0.776 0.052
0.695 0.072 0.929
0.119 0.639 0.883
0.776 0.004 0.552
0.099 0.153 0.144
0.153 0.099 0.644
0.730 0.529 0.345
0.439 0.695 0.378
0.615 0.648 0.138
0.529 0.730 0.845
0.695 0.439 0.878
0.648 0.615 0.638
0.352 0.385 0.362
0.305 0.561 0.122
0.471 0.270 0.155
0.385 0.352 0.862
0.561 0.305 0.622
0.270 0.471 0.655
```

## Properties
energy relative to the elements = -0.809 eV per atom
theoretical density = 2007 kg/m³
magnetic moment = 0.00 μB/f.u.

---

(2)
ZnP2H15C5NO9: optimized geometry, PBE-GGA.

Structure (POSCAR):
```
ZnP2H15C5NO9
1.0
-1.537 9.925 -2.931
-9.790 -0.274 4.206
4.372 3.755 10.422
Zn P H C N O
4 8 60 20 4 36
direct
0.447 0.706 0.378
0.053 0.294 0.878
0.947 0.794 0.622
0.553 0.206 0.122
0.690 0.656 0.543
0.810 0.344 0.043
0.190 0.844 0.457
0.310 0.156 0.957
0.487 0.934 0.202
0.013 0.066 0.702
0.987 0.566 0.798
0.513 0.434 0.298
0.717 0.548 0.383
0.783 0.452 0.883
0.217 0.952 0.617
0.283 0.048 0.117
0.465 0.814 0.045
0.035 0.186 0.545
0.965 0.686 0.955
0.535 0.314 0.455
0.753 0.546 0.693
0.747 0.454 0.193
0.253 0.954 0.307
0.247 0.046 0.807
0.732 0.971 0.689
0.768 0.029 0.189
0.232 0.529 0.311
0.268 0.471 0.811
0.470 0.044 0.486
0.030 0.956 0.986
0.970 0.456 0.514
0.530 0.544 0.014
0.639 0.021 0.493
0.861 0.979 0.993
0.139 0.479 0.507
0.361 0.521 0.007
0.531 0.880 0.627
0.969 0.120 0.127
0.031 0.620 0.373
0.469 0.380 0.873
0.450 0.011 0.691
0.050 0.989 0.191
0.950 0.489 0.309
0.550 0.511 0.809
0.575 0.172 0.791
0.925 0.828 0.291
0.075 0.328 0.209
0.425 0.672 0.709
0.746 0.157 0.797
0.754 0.843 0.297
0.246 0.343 0.203
0.254 0.657 0.703
0.764 0.179 0.591
0.736 0.821 0.091
0.264 0.321 0.409
0.236 0.679 0.909
0.681 0.311 0.647
0.819 0.689 0.147
0.181 0.189 0.353
0.319 0.811 0.853
0.626 0.832 0.813
0.874 0.168 0.313
0.126 0.668 0.187
0.374 0.332 0.687
0.713 0.952 0.884
0.787 0.048 0.384
0.213 0.548 0.116
0.287 0.452 0.616
0.543 0.965 0.873
0.957 0.035 0.373
0.043 0.535 0.127
0.457 0.465 0.627
0.554 0.056 0.539
0.946 0.944 0.039
0.054 0.444 0.461
0.446 0.556 0.961
0.536 0.981 0.646
0.964 0.019 0.146
0.036 0.519 0.354
0.464 0.481 0.854
0.661 0.142 0.745
0.839 0.858 0.245
0.161 0.358 0.255
0.339 0.642 0.755
0.675 0.210 0.633
0.825 0.790 0.133
0.175 0.290 0.367
0.325 0.710 0.867
0.630 0.933 0.831
0.870 0.067 0.331
0.130 0.567 0.169
0.370 0.433 0.669
0.646 0.003 0.724
0.854 0.997 0.224
0.146 0.497 0.276
0.354 0.503 0.776
0.575 0.049 0.209
0.925 0.951 0.709
0.075 0.451 0.791
0.425 0.549 0.291
0.526 0.842 0.294
0.974 0.158 0.794
0.026 0.658 0.706
0.474 0.342 0.206
0.766 0.609 0.436
0.734 0.391 0.936
0.266 0.891 0.564
0.234 0.109 0.064
0.551 0.686 0.514
0.949 0.314 0.014
0.051 0.814 0.486
0.449 0.186 0.986
0.763 0.766 0.592
0.737 0.234 0.092
0.263 0.734 0.408
0.237 0.266 0.908
0.342 0.964 0.203
0.158 0.036 0.703
0.842 0.536 0.797
0.658 0.464 0.297
0.522 0.877 0.080
0.978 0.123 0.580
0.022 0.623 0.920
0.478 0.377 0.420
0.685 0.544 0.631
0.815 0.456 0.131
0.185 0.956 0.369
0.315 0.044 0.869
0.567 0.188 0.561
0.933 0.812 0.061
0.067 0.312 0.439
0.433 0.688 0.939
```

## Properties
energy relative to the elements = -1.070 eV per atom
theoretical density = 1803 kg/m³
magnetic moment = 0.00 μB/f.u.

---

(3)
ZnP2H15C4NO8: optimized geometry, PBE-GGA.

Structure (POSCAR):
```
ZnP2H15C4NO8
1.0
13.938 0.000 0.000
0.000 8.551 0.000
0.000 0.180 10.273
Zn P H C N O
4 8 60 16 4 32
direct
0.425 0.783 0.975
0.575 0.783 0.475
0.869 0.281 0.585
0.131 0.281 0.085
0.386 0.754 0.659
0.614 0.754 0.159
0.226 0.593 0.992
0.774 0.593 0.492
0.037 0.250 0.793
0.963 0.250 0.293
0.305 0.092 0.962
0.695 0.092 0.462
0.778 0.909 0.785
0.944 0.907 0.719
0.222 0.909 0.285
0.140 0.886 0.556
0.056 0.907 0.219
0.016 0.886 0.505
0.860 0.886 0.056
0.984 0.886 0.005
0.738 0.781 0.915
0.027 0.775 0.799
0.262 0.781 0.415
0.973 0.775 0.299
0.770 0.703 0.759
0.935 0.699 0.694
0.230 0.703 0.259
0.065 0.699 0.194
0.974 0.610 0.978
0.026 0.610 0.478
0.151 0.607 0.521
0.849 0.607 0.021
0.888 0.528 0.868
0.112 0.528 0.368
0.621 0.522 0.884
0.379 0.522 0.384
0.525 0.420 0.808
0.644 0.409 0.740
0.475 0.420 0.308
0.356 0.409 0.240
0.413 0.394 0.587
0.745 0.375 0.998
0.587 0.394 0.087
0.255 0.375 0.498
0.511 0.289 0.514
0.489 0.289 0.014
0.767 0.260 0.856
0.233 0.260 0.356
0.418 0.183 0.599
0.582 0.183 0.099
0.261 0.166 0.510
0.739 0.166 0.010
0.516 0.137 0.825
0.484 0.137 0.325
0.634 0.125 0.754
0.366 0.125 0.254
0.607 0.029 0.908
0.393 0.029 0.408
0.900 0.014 0.926
0.100 0.014 0.426
0.298 0.950 0.730
0.702 0.950 0.230
0.193 0.837 0.928
0.807 0.837 0.428
0.281 0.579 0.737
0.719 0.579 0.237
0.133 0.451 0.786
0.867 0.451 0.286
0.305 0.335 0.879
0.695 0.335 0.379
0.154 0.077 0.786
0.846 0.077 0.286
0.909 0.900 0.974
0.091 0.900 0.474
0.785 0.793 0.831
0.954 0.790 0.763
0.215 0.793 0.331
0.046 0.790 0.263
0.900 0.618 0.941
0.100 0.618 0.441
0.601 0.417 0.830
0.399 0.417 0.330
0.435 0.287 0.539
0.726 0.269 0.947
0.565 0.287 0.039
0.274 0.269 0.447
0.593 0.131 0.844
0.407 0.131 0.344
0.887 0.775 0.877
0.113 0.775 0.377
0.621 0.276 0.915
0.379 0.276 0.415
0.244 0.997 0.864
0.756 0.997 0.364
0.330 0.916 0.645
0.670 0.916 0.145
0.159 0.741 0.963
0.440 0.744 0.787
0.841 0.741 0.463
0.560 0.744 0.287
0.446 0.738 0.536
0.554 0.738 0.036
0.676 0.646 0.542
0.324 0.646 0.042
0.307 0.619 0.650
0.693 0.619 0.150
0.234 0.498 0.863
0.827 0.499 0.598
0.766 0.498 0.363
0.173 0.499 0.098
0.074 0.415 0.739
0.926 0.415 0.239
0.045 0.240 0.941
0.349 0.241 0.885
0.955 0.240 0.441
0.651 0.241 0.385
0.934 0.229 0.748
0.066 0.229 0.248
0.755 0.148 0.578
0.245 0.148 0.078
0.100 0.118 0.728
0.900 0.118 0.228
0.607 0.001 0.509
0.393 0.001 0.009
```

## Properties
energy relative to the elements = -1.073 eV per atom
theoretical density = 1804 kg/m³
magnetic moment = 0.00 μB/f.u.

---

- Which value of energy relative to the elements does entry 2 give?
  -1.070 eV per atom

---

- Which value of magnetic moment does entry 1 give?
  0.00 μB/f.u.